Record 1
The following is a DFT calculation (meta-GGA r2SCAN) of a geometry-optimized Si2Mo4P6O25 structure.

Values from the calculation:
V ... 481 Å³/f.u.
Electronic total energy ... -11.13 eV/atom
Symmetry ... P-3 (147)

Structure (POSCAR):
```
Si2Mo4P6O25
1.0
7.276 -12.603 0.000
7.277 12.603 0.000
0.000 0.000 7.863
Si Mo P O
6 12 18 75
Direct
0.000 0.000 0.299 Si
0.333 0.667 0.200 Si
0.333 0.667 0.798 Si
0.667 0.333 0.202 Si
0.667 0.333 0.800 Si
0.000 0.000 0.701 Si
0.001 0.661 0.051 Mo
0.673 0.002 0.443 Mo
0.661 0.661 0.949 Mo
0.002 0.329 0.557 Mo
0.661 0.999 0.051 Mo
0.671 0.673 0.557 Mo
0.999 0.339 0.949 Mo
0.329 0.327 0.443 Mo
0.327 0.998 0.557 Mo
0.339 0.001 0.949 Mo
0.339 0.339 0.051 Mo
0.998 0.671 0.443 Mo
0.427 0.899 0.255 P
0.101 0.528 0.255 P
0.767 0.861 0.249 P
0.472 0.573 0.255 P
0.861 0.094 0.751 P
0.233 0.139 0.751 P
0.760 0.566 0.252 P
0.906 0.767 0.751 P
0.240 0.434 0.748 P
0.573 0.101 0.745 P
0.139 0.906 0.249 P
0.806 0.240 0.252 P
0.566 0.806 0.748 P
0.094 0.233 0.249 P
0.899 0.472 0.745 P
0.528 0.427 0.745 P
0.434 0.194 0.252 P
0.194 0.760 0.748 P
0.476 0.383 0.915 O
0.281 0.410 0.589 O
0.411 0.784 0.272 O
0.915 0.540 0.593 O
0.784 0.373 0.728 O
0.085 0.460 0.407 O
0.627 0.411 0.728 O
0.617 0.093 0.915 O
0.913 0.216 0.757 O
0.958 0.076 0.775 O
0.719 0.590 0.411 O
0.239 0.187 0.579 O
0.754 0.118 0.241 O
0.294 0.432 0.911 O
0.451 0.709 0.725 O
0.882 0.958 0.225 O
0.364 0.246 0.241 O
0.742 0.451 0.275 O
0.087 0.784 0.243 O
0.924 0.882 0.775 O
0.667 0.333 0.001 O
0.138 0.706 0.911 O
0.333 0.667 0.999 O
0.568 0.862 0.911 O
0.246 0.882 0.759 O
0.187 0.949 0.421 O
0.949 0.761 0.579 O
0.907 0.524 0.915 O
0.625 0.085 0.593 O
0.789 0.042 0.899 O
0.578 0.549 0.743 O
0.432 0.138 0.089 O
0.000 0.000 0.500 O
0.118 0.364 0.759 O
0.216 0.304 0.243 O
0.118 0.042 0.775 O
0.590 0.870 0.589 O
0.253 0.211 0.899 O
0.383 0.907 0.085 O
0.042 0.924 0.225 O
0.130 0.719 0.589 O
0.696 0.913 0.243 O
0.882 0.636 0.241 O
0.216 0.627 0.272 O
0.422 0.451 0.257 O
0.042 0.253 0.101 O
0.636 0.754 0.759 O
0.870 0.281 0.411 O
0.375 0.915 0.407 O
0.211 0.958 0.101 O
0.589 0.216 0.728 O
0.029 0.578 0.257 O
0.304 0.087 0.757 O
0.549 0.291 0.275 O
0.813 0.051 0.579 O
0.051 0.239 0.421 O
0.410 0.130 0.411 O
0.373 0.589 0.272 O
0.291 0.742 0.725 O
0.460 0.375 0.593 O
0.258 0.549 0.725 O
0.093 0.476 0.085 O
0.524 0.617 0.085 O
0.958 0.747 0.899 O
0.709 0.258 0.275 O
0.549 0.971 0.257 O
0.540 0.625 0.407 O
0.451 0.029 0.743 O
0.784 0.696 0.757 O
0.971 0.422 0.743 O
0.706 0.568 0.089 O
0.076 0.118 0.225 O
0.747 0.789 0.101 O
0.862 0.294 0.089 O
0.761 0.813 0.421 O
```

Record 2
The following is a DFT calculation (meta-GGA r2SCAN) of a geometry-optimized MoPbO4 structure.

Values from the calculation:
V ... 89 Å³/f.u.
Electronic total energy ... -19.71 eV/atom
Symmetry ... P-1 (2)

Structure (POSCAR):
```
MoPbO4
1.0
1.146 4.291 -3.164
5.241 -1.495 -0.130
-4.272 -4.728 -3.250
Mo Pb O
2 2 8
Direct
0.125 0.375 0.250 Mo
0.875 0.625 0.750 Mo
0.626 0.875 0.250 Pb
0.375 0.125 0.750 Pb
0.932 0.311 0.587 O
0.277 0.433 0.087 O
0.811 0.154 0.086 O
0.654 0.777 0.587 O
0.346 0.223 0.413 O
0.189 0.846 0.913 O
0.067 0.689 0.413 O
0.723 0.567 0.913 O
```

Record 3
The following is a DFT calculation (meta-GGA r2SCAN) of a geometry-optimized Pr3MoO7 structure.

Values from the calculation:
V ... 160 Å³/f.u.
Electronic total energy ... -17.42 eV/atom
Symmetry ... P2_12_12_1 (19)

Structure (POSCAR):
```
Pr3MoO7
1.0
7.622 0.000 0.000
0.000 7.642 0.000
0.000 0.000 11.006
Pr Mo O
12 4 28
Direct
0.761 0.210 0.497 Pr
0.498 0.451 0.779 Pr
0.002 0.549 0.279 Pr
0.998 0.049 0.221 Pr
0.502 0.951 0.721 Pr
0.239 0.710 0.003 Pr
0.261 0.290 0.503 Pr
0.739 0.790 0.997 Pr
0.000 0.056 0.773 Pr
0.000 0.556 0.727 Pr
0.500 0.444 0.227 Pr
0.500 0.944 0.273 Pr
0.754 0.254 0.001 Mo
0.246 0.754 0.499 Mo
0.254 0.246 0.999 Mo
0.746 0.746 0.501 Mo
0.510 0.233 0.632 O
0.490 0.733 0.868 O
0.010 0.267 0.368 O
0.990 0.767 0.132 O
0.715 0.063 0.877 O
0.285 0.563 0.623 O
0.215 0.437 0.123 O
0.785 0.937 0.377 O
0.496 0.814 0.496 O
0.504 0.314 0.004 O
0.996 0.686 0.504 O
0.004 0.186 0.996 O
0.714 0.048 0.121 O
0.286 0.548 0.379 O
0.214 0.452 0.879 O
0.786 0.952 0.621 O
0.713 0.572 0.376 O
0.287 0.072 0.124 O
0.213 0.928 0.624 O
0.787 0.428 0.876 O
0.705 0.605 0.639 O
0.295 0.105 0.861 O
0.499 0.217 0.368 O
0.795 0.395 0.139 O
0.001 0.783 0.868 O
0.999 0.283 0.632 O
0.501 0.717 0.132 O
0.205 0.895 0.361 O
```

Record 4
The following is a DFT calculation (meta-GGA r2SCAN) of a geometry-optimized Rb2Mo4O13 structure.

Values from the calculation:
V ... 299 Å³/f.u.
Electronic total energy ... -13.25 eV/atom
Symmetry ... P-1 (2)

Structure (POSCAR):
```
Rb2Mo4O13
1.0
-7.670 -0.936 3.016
4.173 -7.285 0.491
4.965 6.204 6.519
Rb Mo O
4 8 26
Direct
0.310 0.348 0.572 Rb
0.690 0.652 0.428 Rb
0.622 0.072 0.306 Rb
0.378 0.928 0.694 Rb
0.229 0.542 0.043 Mo
0.771 0.458 0.957 Mo
0.774 0.847 0.942 Mo
0.226 0.153 0.058 Mo
0.054 0.877 0.271 Mo
0.946 0.123 0.729 Mo
0.074 0.494 0.291 Mo
0.926 0.506 0.709 Mo
0.582 0.718 0.780 O
0.418 0.282 0.220 O
0.990 0.683 0.337 O
0.010 0.317 0.663 O
0.780 0.694 0.062 O
0.220 0.306 0.938 O
0.703 0.980 0.041 O
0.297 0.020 0.959 O
0.102 0.650 0.132 O
0.898 0.350 0.868 O
0.969 0.343 0.359 O
0.031 0.657 0.641 O
0.069 0.982 0.117 O
0.931 0.018 0.883 O
0.300 0.617 0.423 O
0.700 0.383 0.577 O
0.120 0.360 0.143 O
0.880 0.640 0.857 O
0.785 0.380 0.100 O
0.215 0.620 0.900 O
0.943 0.986 0.345 O
0.057 0.014 0.655 O
0.455 0.665 0.167 O
0.545 0.335 0.833 O
0.286 0.005 0.384 O
0.714 0.995 0.616 O
```

Record 5
The following is a DFT calculation (meta-GGA r2SCAN) of a geometry-optimized Rb2Mo3O10 structure.

Values from the calculation:
V ... 263 Å³/f.u.
Electronic total energy ... -13.29 eV/atom
Symmetry ... C2/c (15)

Structure (POSCAR):
```
Rb2Mo3O10
1.0
1.505 -2.557 -7.615
7.684 -1.348 -2.436
0.200 -8.994 1.861
Rb Mo O
4 6 20
Direct
0.404 0.232 0.159 Rb
0.768 0.596 0.341 Rb
0.596 0.768 0.841 Rb
0.232 0.404 0.659 Rb
0.181 0.035 0.478 Mo
0.965 0.819 0.022 Mo
0.819 0.965 0.522 Mo
0.035 0.181 0.978 Mo
0.290 0.710 0.250 Mo
0.710 0.290 0.750 Mo
0.347 0.892 0.319 O
0.108 0.653 0.181 O
0.653 0.108 0.681 O
0.892 0.347 0.819 O
0.943 0.107 0.592 O
0.893 0.057 0.908 O
0.057 0.893 0.408 O
0.107 0.943 0.092 O
0.330 0.951 0.617 O
0.049 0.670 0.883 O
0.670 0.049 0.383 O
0.951 0.330 0.117 O
0.143 0.259 0.419 O
0.741 0.857 0.081 O
0.857 0.741 0.581 O
0.259 0.143 0.919 O
0.472 0.631 0.117 O
0.369 0.528 0.383 O
0.528 0.369 0.883 O
0.631 0.472 0.617 O
```

Record 6
The following is a DFT calculation (meta-GGA r2SCAN) of a geometry-optimized MoRh2O6 structure.

Values from the calculation:
V ... 96 Å³/f.u.
Electronic total energy ... -13.69 eV/atom
Symmetry ... P4_2/mnm (136)

Structure (POSCAR):
```
MoRh2O6
1.0
-2.437 -1.108 3.752
-3.512 -1.328 -2.673
3.396 -8.420 -0.280
Mo Rh O
2 4 12
Direct
0.000 0.000 0.000 Mo
0.500 0.500 0.500 Mo
0.500 0.500 0.831 Rh
0.000 0.000 0.331 Rh
0.500 0.500 0.169 Rh
0.000 0.000 0.669 Rh
0.697 0.697 0.656 O
0.303 0.303 0.656 O
0.697 0.697 0.344 O
0.197 0.803 0.156 O
0.803 0.197 0.156 O
0.803 0.197 0.844 O
0.302 0.302 0.000 O
0.198 0.802 0.500 O
0.802 0.198 0.500 O
0.698 0.698 0.000 O
0.303 0.303 0.344 O
0.197 0.803 0.844 O
```

Record 7
The following is a DFT calculation (meta-GGA r2SCAN) of a geometry-optimized Sm2Mo3O12 structure.

Values from the calculation:
V ... 237 Å³/f.u.
Electronic total energy ... -15.06 eV/atom
Symmetry ... C2/c (15)

Structure (POSCAR):
```
Sm2Mo3O12
1.0
5.736 3.783 0.005
-5.736 3.783 0.005
0.000 3.775 10.942
Sm Mo O
4 6 24
Direct
0.801 0.548 0.909 Sm
0.452 0.199 0.591 Sm
0.548 0.801 0.409 Sm
0.199 0.452 0.091 Sm
0.699 0.975 0.062 Mo
0.025 0.301 0.438 Mo
0.301 0.025 0.938 Mo
0.975 0.699 0.562 Mo
0.621 0.379 0.250 Mo
0.379 0.621 0.750 Mo
0.729 0.141 0.457 O
0.907 0.488 0.220 O
0.171 0.596 0.411 O
0.819 0.887 0.950 O
0.141 0.729 0.957 O
0.727 0.852 0.202 O
0.446 0.530 0.887 O
0.859 0.271 0.043 O
0.852 0.727 0.702 O
0.113 0.181 0.550 O
0.512 0.093 0.280 O
0.273 0.148 0.798 O
0.093 0.512 0.780 O
0.887 0.819 0.450 O
0.148 0.273 0.298 O
0.531 0.446 0.387 O
0.404 0.829 0.089 O
0.271 0.859 0.543 O
0.181 0.113 0.050 O
0.554 0.469 0.113 O
0.470 0.554 0.613 O
0.488 0.907 0.720 O
0.596 0.171 0.911 O
0.829 0.404 0.589 O
```

Record 8
The following is a DFT calculation (meta-GGA r2SCAN) of a geometry-optimized Sm2Mo2O7 structure.

Values from the calculation:
V ... 141 Å³/f.u.
Electronic total energy ... -16.84 eV/atom
Symmetry ... Fd-3m (227)

Structure (POSCAR):
```
Sm2Mo2O7
1.0
2.149 -7.000 0.693
-4.886 -5.182 1.836
-2.100 -5.000 -4.969
Sm Mo O
4 4 14
Direct
0.125 0.125 0.625 Sm
0.125 0.125 0.125 Sm
0.625 0.125 0.125 Sm
0.125 0.625 0.125 Sm
0.625 0.625 0.625 Mo
0.125 0.625 0.625 Mo
0.625 0.125 0.625 Mo
0.625 0.625 0.125 Mo
0.292 0.292 0.708 O
0.292 0.708 0.292 O
0.958 0.542 0.958 O
0.708 0.292 0.292 O
0.000 0.000 0.000 O
0.542 0.542 0.958 O
0.292 0.708 0.708 O
0.542 0.958 0.542 O
0.542 0.958 0.958 O
0.708 0.708 0.292 O
0.250 0.250 0.250 O
0.958 0.958 0.542 O
0.958 0.542 0.542 O
0.708 0.292 0.708 O
```

| no. | E_form (eV/atom) |
| --- | --- |
| 1 | -2.339 |
| 2 | -2.000 |
| 3 | -3.234 |
| 4 | -2.208 |
| 5 | -2.235 |
| 6 | -1.451 |
| 7 | -2.749 |
| 8 | -2.891 |